No. 1
Compound: Sr20Fe3Co7Mo10O60
Source: Materials Project
Functional: PBE+U
Structure: relaxed

Lattice parameters (Å, degrees): 9.784 11.290 12.719 102.83 97.77 106.76
Positions (direct):
O: 0.151 0.928 0.557
O: 0.423 0.249 0.141
O: 0.055 0.976 0.846
O: 0.748 0.126 0.754
O: 0.135 0.193 0.044
O: 0.823 0.056 0.941
O: 0.254 0.875 0.245
O: 0.850 0.575 0.453
O: 0.148 0.427 0.555
O: 0.768 0.151 0.257
O: 0.625 0.651 0.543
O: 0.951 0.525 0.147
O: 0.422 0.754 0.141
O: 0.871 0.812 0.955
O: 0.064 0.211 0.356
O: 0.533 0.994 0.843
O: 0.668 0.410 0.555
O: 0.578 0.749 0.858
O: 0.020 0.451 0.340
O: 0.051 0.475 0.848
O: 0.180 0.947 0.058
O: 0.977 0.046 0.660
O: 0.469 0.012 0.155
O: 0.650 0.673 0.049
O: 0.264 0.607 0.757
O: 0.268 0.109 0.756
O: 0.223 0.852 0.741
O: 0.751 0.623 0.747
O: 0.450 0.272 0.644
O: 0.623 0.155 0.542
O: 0.667 0.905 0.556
O: 0.334 0.093 0.444
O: 0.870 0.311 0.956
O: 0.219 0.351 0.741
O: 0.775 0.643 0.259
O: 0.346 0.324 0.955
O: 0.132 0.689 0.043
O: 0.546 0.224 0.352
O: 0.975 0.549 0.659
O: 0.952 0.029 0.152
O: 0.380 0.850 0.461
O: 0.451 0.772 0.645
O: 0.547 0.724 0.355
O: 0.851 0.077 0.451
O: 0.464 0.506 0.155
O: 0.334 0.591 0.445
O: 0.827 0.550 0.939
O: 0.351 0.827 0.955
O: 0.251 0.374 0.244
O: 0.723 0.384 0.241
O: 0.073 0.710 0.358
O: 0.531 0.486 0.843
O: 0.649 0.174 0.046
O: 0.933 0.790 0.645
O: 0.175 0.449 0.057
O: 0.379 0.349 0.460
O: 0.579 0.248 0.860
O: 0.734 0.892 0.246
O: 0.025 0.949 0.342
O: 0.933 0.296 0.647
Mo: 0.900 0.049 0.301
Mo: 0.497 0.249 0.500
Mo: 0.300 0.350 0.100
Mo: 0.698 0.149 0.898
Mo: 0.699 0.651 0.900
Mo: 0.100 0.449 0.700
Mo: 0.901 0.550 0.301
Mo: 0.500 0.751 0.500
Mo: 0.102 0.951 0.701
Mo: 0.301 0.850 0.100
Sr: 0.555 0.976 0.350
Sr: 0.449 0.026 0.649
Sr: 0.657 0.924 0.053
Sr: 0.748 0.376 0.750
Sr: 0.148 0.674 0.548
Sr: 0.850 0.322 0.448
Sr: 0.144 0.172 0.546
Sr: 0.948 0.271 0.151
Sr: 0.652 0.429 0.051
Sr: 0.242 0.122 0.249
Sr: 0.853 0.827 0.448
Sr: 0.947 0.778 0.150
Sr: 0.349 0.074 0.950
Sr: 0.553 0.477 0.350
Sr: 0.047 0.726 0.851
Sr: 0.049 0.224 0.850
Sr: 0.751 0.874 0.751
Sr: 0.356 0.575 0.950
Sr: 0.453 0.526 0.653
Sr: 0.247 0.626 0.251
Fe: 0.603 0.202 0.201
Fe: 0.801 0.600 0.600
Fe: 0.999 0.500 0.001
Co: 0.800 0.100 0.599
Co: 0.000 0.000 0.001
Co: 0.401 0.301 0.801
Co: 0.399 0.799 0.800
Co: 0.600 0.699 0.199
Co: 0.200 0.899 0.399
Co: 0.200 0.401 0.400

Summary:
The space-group type is P1, No. 1.

***

No. 2
Compound: Sr20FeCo9Mo10O60
Source: Materials Project
Functional: PBE+U
Structure: relaxed

Lattice parameters (Å, degrees): 9.784 11.293 12.738 102.77 97.87 106.65
Positions (direct):
O: 0.251 0.874 0.245
O: 0.375 0.847 0.458
O: 0.348 0.826 0.956
O: 0.465 0.508 0.155
O: 0.624 0.653 0.541
O: 0.537 0.991 0.845
O: 0.866 0.308 0.955
O: 0.348 0.325 0.955
O: 0.976 0.547 0.659
O: 0.935 0.792 0.646
O: 0.548 0.726 0.354
O: 0.576 0.748 0.859
O: 0.134 0.692 0.045
O: 0.225 0.354 0.742
O: 0.548 0.226 0.356
O: 0.625 0.153 0.542
O: 0.133 0.188 0.044
O: 0.266 0.609 0.757
O: 0.734 0.391 0.243
O: 0.576 0.247 0.859
O: 0.376 0.347 0.459
O: 0.828 0.053 0.942
O: 0.935 0.293 0.646
O: 0.424 0.252 0.141
O: 0.065 0.707 0.354
O: 0.867 0.812 0.956
O: 0.026 0.952 0.341
O: 0.452 0.274 0.646
O: 0.950 0.025 0.150
O: 0.652 0.174 0.044
O: 0.334 0.591 0.444
O: 0.652 0.675 0.045
O: 0.463 0.009 0.155
O: 0.666 0.409 0.556
O: 0.051 0.474 0.846
O: 0.050 0.975 0.850
O: 0.775 0.646 0.258
O: 0.251 0.373 0.244
O: 0.149 0.926 0.554
O: 0.774 0.148 0.257
O: 0.024 0.453 0.341
O: 0.172 0.947 0.058
O: 0.424 0.753 0.141
O: 0.749 0.627 0.756
O: 0.665 0.907 0.555
O: 0.852 0.574 0.444
O: 0.265 0.108 0.756
O: 0.735 0.892 0.244
O: 0.065 0.208 0.354
O: 0.535 0.492 0.845
O: 0.452 0.774 0.644
O: 0.335 0.093 0.445
O: 0.949 0.526 0.154
O: 0.749 0.126 0.755
O: 0.851 0.074 0.446
O: 0.226 0.852 0.743
O: 0.824 0.555 0.942
O: 0.176 0.445 0.058
O: 0.148 0.426 0.556
O: 0.974 0.048 0.659
Co: 0.199 0.900 0.400
Co: 0.200 0.400 0.400
Co: 0.800 0.600 0.600
Co: 0.801 0.100 0.600
Co: 0.601 0.200 0.200
Co: 0.399 0.800 0.800
Co: 0.399 0.299 0.800
Co: 0.601 0.701 0.200
Co: 0.000 0.500 0.000
Sr: 0.050 0.225 0.849
Sr: 0.249 0.625 0.251
Sr: 0.651 0.425 0.051
Sr: 0.751 0.375 0.749
Sr: 0.850 0.324 0.449
Sr: 0.950 0.775 0.151
Sr: 0.550 0.475 0.351
Sr: 0.349 0.575 0.949
Sr: 0.449 0.024 0.650
Sr: 0.551 0.976 0.350
Sr: 0.651 0.926 0.051
Sr: 0.349 0.074 0.949
Sr: 0.051 0.725 0.849
Sr: 0.750 0.876 0.749
Sr: 0.949 0.275 0.151
Sr: 0.450 0.525 0.649
Sr: 0.250 0.124 0.251
Sr: 0.850 0.825 0.450
Sr: 0.150 0.676 0.551
Sr: 0.150 0.175 0.550
Mo: 0.700 0.151 0.900
Mo: 0.301 0.351 0.100
Mo: 0.100 0.950 0.699
Mo: 0.500 0.250 0.500
Mo: 0.500 0.750 0.500
Mo: 0.699 0.649 0.900
Mo: 0.100 0.450 0.700
Mo: 0.900 0.550 0.300
Mo: 0.900 0.050 0.301
Mo: 0.300 0.849 0.100
Fe: 0.000 0.000 0.000

Summary:
The space-group type is P-1, No. 2.

***

No. 3
Compound: Sr20Fe9CoMo10O60
Source: Materials Project
Functional: PBE+U
Structure: relaxed

Lattice parameters (Å, degrees): 5.642 56.311 11.336 119.92 119.78 90.05
Positions (direct):
Sr: 0.250 0.375 0.749
Sr: 0.249 0.975 0.248
Sr: 0.749 0.525 0.250
Sr: 0.249 0.675 0.749
Sr: 0.750 0.025 0.751
Sr: 0.749 0.325 0.751
Sr: 0.750 0.225 0.251
Sr: 0.755 0.926 0.755
Sr: 0.748 0.025 0.249
Sr: 0.251 0.275 0.751
Sr: 0.247 0.876 0.247
Sr: 0.250 0.575 0.249
Sr: 0.743 0.825 0.244
Sr: 0.749 0.625 0.250
Sr: 0.743 0.724 0.244
Sr: 0.252 0.575 0.751
Sr: 0.750 0.425 0.251
Sr: 0.245 0.774 0.244
Sr: 0.755 0.826 0.756
Sr: 0.751 0.625 0.752
Sr: 0.257 0.876 0.756
Sr: 0.251 0.275 0.249
Sr: 0.251 0.375 0.249
Sr: 0.748 0.125 0.250
Sr: 0.250 0.175 0.749
Sr: 0.751 0.925 0.251
Sr: 0.251 0.175 0.251
Sr: 0.753 0.724 0.753
Sr: 0.750 0.525 0.751
Sr: 0.245 0.674 0.245
Sr: 0.250 0.475 0.250
Sr: 0.749 0.225 0.751
Sr: 0.250 0.075 0.249
Sr: 0.252 0.475 0.750
Sr: 0.251 0.975 0.750
Sr: 0.257 0.775 0.756
Sr: 0.750 0.125 0.750
Sr: 0.749 0.425 0.749
Sr: 0.251 0.075 0.750
Sr: 0.749 0.325 0.249
Fe: 0.005 0.901 0.005
Fe: 0.996 0.600 0.999
Fe: 0.000 0.800 0.000
Fe: 0.000 0.400 0.501
Fe: 0.004 0.000 0.001
Fe: 0.001 0.400 0.000
Fe: 0.002 0.100 0.501
Fe: 0.999 0.100 0.999
Fe: 0.000 0.200 0.499
Fe: 0.000 0.800 0.500
Fe: 0.001 0.000 0.503
Fe: 0.999 0.600 0.497
Fe: 0.000 0.300 0.500
Fe: 0.999 0.200 0.000
Fe: 0.000 0.300 0.000
Fe: 0.998 0.500 0.499
Fe: 0.995 0.699 0.995
Fe: 0.001 0.500 0.001
O: 0.221 0.071 0.998
O: 0.295 0.723 0.501
O: 0.786 0.529 0.500
O: 0.779 0.529 0.002
O: 0.291 0.122 0.500
O: 0.741 0.674 0.240
O: 0.786 0.329 0.501
O: 0.286 0.621 0.000
O: 0.742 0.774 0.742
O: 0.289 0.622 0.502
O: 0.740 0.874 0.239
O: 0.215 0.572 0.501
O: 0.251 0.625 0.249
O: 0.284 0.322 0.001
O: 0.705 0.877 0.499
O: 0.714 0.979 0.000
O: 0.221 0.771 0.501
O: 0.707 0.077 0.498
O: 0.291 0.722 0.004
O: 0.751 0.374 0.247
O: 0.290 0.423 0.500
O: 0.218 0.371 0.998
O: 0.709 0.278 0.497
O: 0.714 0.378 0.998
O: 0.787 0.828 0.999
O: 0.746 0.775 0.247
O: 0.213 0.171 0.501
O: 0.258 0.826 0.258
O: 0.716 0.779 0.001
O: 0.706 0.378 0.496
O: 0.752 0.475 0.251
O: 0.214 0.271 0.499
O: 0.291 0.322 0.503
O: 0.753 0.075 0.250
O: 0.791 0.729 0.004
O: 0.716 0.578 0.000
O: 0.294 0.222 0.504
O: 0.281 0.422 0.000
O: 0.744 0.974 0.242
O: 0.258 0.726 0.259
O: 0.745 0.375 0.746
O: 0.250 0.025 0.750
O: 0.251 0.525 0.250
O: 0.209 0.871 0.996
O: 0.249 0.925 0.250
O: 0.750 0.275 0.247
O: 0.782 0.229 0.002
O: 0.218 0.271 0.998
O: 0.751 0.675 0.750
O: 0.711 0.978 0.498
O: 0.709 0.778 0.500
O: 0.285 0.921 0.999
O: 0.775 0.129 0.999
O: 0.719 0.178 0.000
O: 0.217 0.672 0.004
O: 0.784 0.629 0.999
O: 0.716 0.278 0.999
O: 0.786 0.128 0.499
O: 0.286 0.222 0.002
O: 0.749 0.075 0.750
O: 0.710 0.177 0.500
O: 0.775 0.429 0.999
O: 0.751 0.575 0.750
O: 0.253 0.325 0.253
O: 0.785 0.028 0.499
O: 0.225 0.471 0.001
O: 0.284 0.821 0.999
O: 0.747 0.275 0.747
O: 0.214 0.472 0.501
O: 0.712 0.678 0.501
O: 0.282 0.122 0.000
O: 0.709 0.878 0.996
O: 0.779 0.029 0.001
O: 0.715 0.679 0.001
O: 0.750 0.575 0.250
O: 0.785 0.628 0.501
O: 0.291 0.822 0.500
O: 0.752 0.175 0.750
O: 0.752 0.475 0.751
O: 0.709 0.478 0.500
O: 0.221 0.571 0.999
O: 0.224 0.870 0.500
O: 0.293 0.523 0.502
O: 0.285 0.521 0.000
O: 0.214 0.371 0.498
O: 0.254 0.825 0.753
O: 0.284 0.022 0.000
O: 0.786 0.229 0.502
O: 0.256 0.626 0.758
O: 0.225 0.171 0.001
O: 0.751 0.175 0.251
O: 0.250 0.325 0.753
O: 0.718 0.478 0.000
O: 0.215 0.972 0.499
O: 0.248 0.125 0.249
O: 0.248 0.425 0.250
O: 0.249 0.226 0.753
O: 0.247 0.525 0.750
O: 0.216 0.971 0.001
O: 0.255 0.225 0.254
O: 0.742 0.874 0.741
O: 0.213 0.772 0.001
O: 0.288 0.922 0.499
O: 0.782 0.929 0.499
O: 0.214 0.071 0.500
O: 0.249 0.025 0.250
O: 0.779 0.829 0.499
O: 0.776 0.730 0.500
O: 0.259 0.926 0.760
O: 0.710 0.578 0.500
O: 0.749 0.975 0.751
O: 0.787 0.429 0.499
O: 0.715 0.079 0.000
O: 0.783 0.928 0.996
O: 0.290 0.022 0.500
O: 0.248 0.125 0.749
O: 0.260 0.726 0.761
O: 0.218 0.671 0.501
O: 0.249 0.425 0.749
O: 0.782 0.329 0.002
Mo: 0.499 0.550 0.000
Mo: 0.499 0.750 0.998
Mo: 0.500 0.749 0.499
Mo: 0.501 0.350 0.000
Mo: 0.500 0.050 0.500
Mo: 0.499 0.650 0.999
Mo: 0.500 0.150 0.000
Mo: 0.501 0.950 0.001
Mo: 0.499 0.250 0.000
Mo: 0.501 0.850 0.002
Mo: 0.500 0.250 0.500
Mo: 0.500 0.350 0.500
Mo: 0.500 0.450 0.000
Mo: 0.500 0.851 0.501
Mo: 0.500 0.550 0.500
Mo: 0.501 0.950 0.501
Mo: 0.501 0.050 0.000
Mo: 0.499 0.650 0.499
Mo: 0.499 0.150 0.499
Mo: 0.501 0.450 0.501
Co: 0.001 0.901 0.501
Co: 0.999 0.699 0.499

Summary:
The space-group type is P-1, No. 2.

***

No. 4
Compound: NbFe3Co2P6O24
Source: Materials Project
Functional: PBE+U
Structure: relaxed

Lattice parameters (Å, degrees): 8.580 8.580 8.580 60.86 60.86 60.86
Positions (direct):
O: 0.411 0.758 0.558
O: 0.506 0.315 0.113
O: 0.061 0.258 0.910
O: 0.184 0.996 0.388
O: 0.496 0.683 0.889
O: 0.739 0.092 0.937
O: 0.758 0.558 0.411
O: 0.092 0.937 0.739
O: 0.996 0.388 0.184
O: 0.258 0.910 0.061
O: 0.315 0.113 0.506
O: 0.591 0.242 0.444
O: 0.242 0.444 0.591
O: 0.444 0.591 0.242
O: 0.816 0.995 0.614
O: 0.995 0.614 0.816
O: 0.937 0.739 0.092
O: 0.558 0.411 0.758
O: 0.889 0.496 0.683
O: 0.388 0.184 0.996
O: 0.113 0.506 0.315
O: 0.614 0.816 0.995
O: 0.910 0.061 0.258
O: 0.683 0.889 0.496
P: 0.257 0.954 0.539
P: 0.746 0.047 0.449
P: 0.047 0.449 0.746
P: 0.954 0.539 0.257
P: 0.539 0.257 0.954
P: 0.449 0.746 0.047
Nb: 0.858 0.858 0.858
Co: 0.007 0.007 0.007
Co: 0.500 0.500 0.500
Fe: 0.644 0.644 0.644
Fe: 0.356 0.356 0.356
Fe: 0.146 0.146 0.146

Summary:
The space-group type is R3, No. 146.

***

Number 1: ΔH_f (0 K) -2497 meV/atom. Number 2: ΔH_f (0 K) -2482 meV/atom. Number 3: ΔH_f (0 K) -2535 meV/atom. Number 4: ΔH_f (0 K) -2379 meV/atom.